Computed, not measured: a relaxed structure of Li6V3P8O29 at the GGA+U level of DFT.

Properties
Total energy = -7.017 eV/atom
Density = 2.6 g/cm3
Symmetry = P1
Crystal system = triclinic
Total moment = 3.000 μB per formula unit
ΔE_f = -2.659 eV/atom
Relative energy among the computed polymorphs = 4 meV/atom
Calculated volume = 1170.89 Å³ per cell

Cell: 9.818 9.821 14.004 Å, 89.77 89.75 60.13°
Element x y z (fractional)
1 Li 0.226 0.685 0.060
2 Li 0.093 0.667 0.561
3 Li 0.665 0.237 0.559
4 Li 0.329 0.338 0.888
5 Li 0.690 0.084 0.065
6 Li 0.091 0.227 0.062
7 Li 0.234 0.096 0.558
8 Li 0.317 0.907 0.942
9 Li 0.336 0.765 0.437
10 Li 0.897 0.337 0.438
11 Li 0.775 0.314 0.941
12 Li 0.961 0.986 0.489
13 V 0.573 0.995 0.254
14 V 0.439 0.001 0.748
15 V 0.997 0.568 0.753
16 V 0.999 0.436 0.250
17 V 0.433 0.568 0.249
18 V 0.565 0.435 0.748
19 P 0.229 0.679 0.842
20 P 0.087 0.686 0.345
21 P 0.684 0.228 0.341
22 P 0.337 0.331 0.129
23 P 0.330 0.336 0.628
24 P 0.680 0.091 0.846
25 P 0.778 0.918 0.661
26 P 0.092 0.228 0.841
27 P 0.916 0.770 0.161
28 P 0.228 0.087 0.341
29 P 0.320 0.914 0.158
30 P 0.665 0.665 0.372
31 P 0.665 0.665 0.870
32 P 0.316 0.772 0.658
33 P 0.915 0.315 0.656
34 P 0.769 0.322 0.158
35 O 0.227 0.772 0.570
36 O 0.256 0.662 0.335
37 O 0.012 0.761 0.076
38 O 0.084 0.661 0.841
39 O 0.374 0.512 0.824
40 O 0.330 0.486 0.166
41 O 0.531 0.384 0.332
42 O 0.755 0.245 0.069
43 O 0.666 0.255 0.840
44 O 0.186 0.489 0.670
45 O 0.088 0.531 0.334
46 O 0.486 0.327 0.668
47 O 0.334 0.333 0.021
48 O 0.330 0.336 0.522
49 O 0.489 0.185 0.166
50 O 0.116 0.371 0.825
51 O 0.188 0.327 0.167
52 O 0.658 0.086 0.336
53 O 0.794 0.992 0.760
54 O 0.790 0.013 0.580
55 O 0.743 0.011 0.939
56 O 0.512 0.116 0.823
57 O 0.323 0.189 0.669
58 O 0.749 0.914 0.161
59 O 0.379 0.092 0.330
60 O 0.081 0.255 0.338
61 O 0.993 0.797 0.257
62 O 0.018 0.773 0.437
63 O 0.003 0.226 0.568
64 O 0.917 0.749 0.660
65 O 0.619 0.922 0.667
66 O 0.255 0.078 0.842
67 O 0.678 0.804 0.327
68 O 0.478 0.906 0.177
69 O 0.242 0.003 0.068
70 O 0.220 0.001 0.430
71 O 0.207 0.001 0.248
72 O 0.338 0.917 0.658
73 O 0.815 0.658 0.824
74 O 0.907 0.618 0.179
75 O 0.519 0.817 0.827
76 O 0.663 0.662 0.976
77 O 0.657 0.661 0.478
78 O 0.509 0.679 0.329
79 O 0.914 0.471 0.669
80 O 0.810 0.509 0.332
81 O 0.338 0.749 0.157
82 O 0.212 0.790 0.752
83 O 0.251 0.751 0.930
84 O 0.473 0.618 0.669
85 O 0.663 0.516 0.828
86 O 0.621 0.481 0.177
87 O 0.918 0.336 0.158
88 O 0.000 0.244 0.930
89 O 0.002 0.210 0.750
90 O 0.749 0.335 0.658
91 O 0.779 0.217 0.429
92 O 0.792 0.209 0.248


Computed, not measured: a relaxed structure of MnBiAsO5 at the GGA+U level of DFT.

Properties
Total energy = -6.542 eV/atom
Density = 6.0 g/cm3
Total moment = 0.000 μB per formula unit
ΔE_f = -1.873 eV/atom
Calculated volume = 466.39 Å³ per cell

Cell: 7.011 7.875 9.403 Å, 77.77 93.34 68.39°
Element x y z (fractional)
1 Mn 0.370 0.847 0.520
2 Mn 0.630 0.153 0.480
3 Mn 0.870 0.347 0.020
4 Mn 0.130 0.653 0.980
5 Bi 0.105 0.424 0.332
6 Bi 0.605 0.924 0.832
7 Bi 0.895 0.576 0.668
8 Bi 0.395 0.076 0.168
9 As 0.467 0.414 0.764
10 As 0.967 0.914 0.264
11 As 0.533 0.586 0.236
12 As 0.033 0.086 0.736
13 O 0.164 0.383 0.118
14 O 0.664 0.883 0.618
15 O 0.836 0.617 0.882
16 O 0.336 0.117 0.382
17 O 0.035 0.257 0.826
18 O 0.535 0.757 0.326
19 O 0.965 0.743 0.174
20 O 0.465 0.243 0.674
21 O 0.217 0.557 0.780
22 O 0.717 0.057 0.280
23 O 0.783 0.443 0.220
24 O 0.283 0.943 0.720
25 O 0.396 0.697 0.064
26 O 0.896 0.197 0.564
27 O 0.604 0.303 0.936
28 O 0.104 0.803 0.436
29 O 0.564 0.562 0.656
30 O 0.064 0.062 0.156
31 O 0.436 0.438 0.344
32 O 0.936 0.938 0.844


Computed, not measured: a relaxed structure of KErW2O8 at the GGA+U level of DFT.

Properties
Total energy = -7.421 eV/atom
Density = 7.1 g/cm3
Symmetry = C2/c
Crystal system = monoclinic
Total moment = 0.000 μB per formula unit
ΔE_f = -2.687 eV/atom
Calculated volume = 326.97 Å³ per cell

Cell: 7.602 7.602 7.451 Å, 62.09 62.09 87.91°
Element x y z (fractional)
1 K 0.208 0.792 0.750
2 K 0.792 0.208 0.250
3 Er 0.224 0.776 0.250
4 Er 0.776 0.224 0.750
5 W 0.693 0.701 0.283
6 W 0.701 0.693 0.783
7 W 0.307 0.299 0.717
8 W 0.299 0.307 0.217
9 O 0.244 0.377 0.944
10 O 0.365 0.055 0.881
11 O 0.039 0.225 0.811
12 O 0.225 0.039 0.311
13 O 0.635 0.945 0.119
14 O 0.594 0.371 0.964
15 O 0.756 0.623 0.056
16 O 0.623 0.756 0.556
17 O 0.377 0.244 0.444
18 O 0.629 0.406 0.536
19 O 0.775 0.961 0.689
20 O 0.055 0.365 0.381
21 O 0.961 0.775 0.189
22 O 0.406 0.629 0.036
23 O 0.945 0.635 0.619
24 O 0.371 0.594 0.464


Computed, not measured: a relaxed structure of Cr12Fe7O48 at the GGA+U level of DFT.

Properties
Total energy = -6.548 eV/atom
Density = 3.3 g/cm3
Symmetry = P1
Crystal system = triclinic
Total moment = 32.001 μB per formula unit
ΔE_f = -1.475 eV/atom
Relative energy among the computed polymorphs = 33 meV/atom
Calculated volume = 892.14 Å³ per cell

Cell: 4.977 10.382 17.266 Å, 89.90 90.16 89.92°
Element x y z (fractional)
1 Cr 0.222 0.751 0.947
2 Cr 0.202 0.016 0.655
3 Cr 0.203 0.477 0.651
4 Cr 0.272 0.525 0.151
5 Cr 0.277 0.974 0.156
6 Cr 0.272 0.253 0.447
7 Cr 0.728 0.753 0.553
8 Cr 0.725 0.023 0.845
9 Cr 0.733 0.485 0.844
10 Cr 0.791 0.524 0.345
11 Cr 0.792 0.976 0.349
12 Cr 0.781 0.244 0.056
13 Fe 0.095 0.255 0.257
14 Fe 0.247 0.084 0.968
15 Fe 0.257 0.938 0.477
16 Fe 0.740 0.437 0.521
17 Fe 0.738 0.557 0.026
18 Fe 0.752 0.915 0.032
19 Fe 0.901 0.747 0.741
20 O 0.050 0.234 0.996
21 O 0.049 0.606 0.370
22 O 0.078 0.898 0.388
23 O 0.129 0.626 0.206
24 O 0.108 0.880 0.209
25 O 0.114 0.115 0.468
26 O 0.056 0.371 0.466
27 O 0.083 0.000 0.072
28 O 0.059 0.503 0.075
29 O 0.141 0.748 0.856
30 O 0.118 0.617 0.699
31 O 0.115 0.874 0.706
32 O 0.323 0.113 0.201
33 O 0.314 0.384 0.198
34 O 0.334 0.254 0.352
35 O 0.390 0.984 0.571
36 O 0.418 0.506 0.579
37 O 0.408 0.886 0.969
38 O 0.429 0.630 0.969
39 O 0.405 0.098 0.708
40 O 0.351 0.379 0.707
41 O 0.436 0.099 0.875
42 O 0.451 0.417 0.862
43 O 0.454 0.772 0.496
44 O 0.548 0.273 0.504
45 O 0.570 0.596 0.116
46 O 0.565 0.897 0.124
47 O 0.593 0.610 0.293
48 O 0.644 0.880 0.292
49 O 0.577 0.114 0.034
50 O 0.604 0.374 0.035
51 O 0.576 0.005 0.422
52 O 0.603 0.489 0.430
53 O 0.661 0.755 0.648
54 O 0.692 0.629 0.791
55 O 0.689 0.881 0.799
56 O 0.879 0.112 0.302
57 O 0.876 0.385 0.296
58 O 0.872 0.243 0.147
59 O 0.893 0.521 0.933
60 O 0.911 0.994 0.929
61 O 0.885 0.614 0.533
62 O 0.944 0.871 0.534
63 O 0.905 0.118 0.795
64 O 0.923 0.387 0.799
65 O 0.949 0.102 0.631
66 O 0.921 0.399 0.612
67 O 0.939 0.753 0.008


Computed, not measured: a relaxed structure of MgFe4P4O16 at the GGA+U level of DFT.

Properties
Total energy = -7.029 eV/atom
Density = 2.7 g/cm3
Symmetry = P1
Crystal system = triclinic
Total moment = 18.002 μB per formula unit
ΔE_f = -2.378 eV/atom
Relative energy among the computed polymorphs = 16 meV/atom
Calculated volume = 390.89 Å³ per cell

Cell: 8.621 9.160 5.215 Å, 87.54 108.19 90.77°
Element x y z (fractional)
1 Mg 0.604 0.658 0.850
2 Fe 0.208 0.476 0.466
3 Fe 0.294 0.989 0.044
4 Fe 0.696 0.037 0.848
5 Fe 0.846 0.518 0.621
6 P 0.230 0.652 0.910
7 P 0.299 0.149 0.608
8 P 0.652 0.844 0.360
9 P 0.825 0.358 0.144
10 O 0.087 0.564 0.708
11 O 0.165 0.121 0.745
12 O 0.179 0.812 0.892
13 O 0.250 0.093 0.322
14 O 0.369 0.621 0.788
15 O 0.271 0.586 0.199
16 O 0.345 0.313 0.602
17 O 0.447 0.061 0.811
18 O 0.468 0.877 0.294
19 O 0.682 0.694 0.524
20 O 0.750 0.488 0.934
21 O 0.750 0.364 0.374
22 O 0.754 0.963 0.535
23 O 0.800 0.214 0.005
24 O 0.692 0.828 0.089
25 O 0.012 0.393 0.252


Computed, not measured: a relaxed structure of FeOF at the GGA+U level of DFT.

Properties
Total energy = -5.998 eV/atom
Density = 4.6 g/cm3
Symmetry = Fddd
Crystal system = orthorhombic
Total moment = 5.000 μB per formula unit
ΔE_f = -2.022 eV/atom
Calculated volume = 130.00 Å³ per cell

Cell: 6.200 5.960 5.194 Å, 67.14 62.34 50.53°
Element x y z (fractional)
1 Fe 0.202 0.798 0.202
2 Fe 0.452 0.048 0.452
3 Fe 0.798 0.202 0.798
4 Fe 0.048 0.452 0.048
5 O 0.864 0.864 0.136
6 O 0.136 0.136 0.864
7 O 0.114 0.114 0.386
8 O 0.386 0.386 0.114
9 F 0.125 0.625 0.625
10 F 0.625 0.625 0.625
11 F 0.625 0.125 0.625
12 F 0.625 0.625 0.125


Computed, not measured: a relaxed structure of Pr2CoRuO6 at the GGA+U level of DFT.

Properties
Total energy = -7.449 eV/atom
Density = 7.1 g/cm3
Symmetry = P2_1/c
Crystal system = monoclinic
Total moment = 1.015 μB per formula unit
ΔE_f = -2.462 eV/atom
Calculated volume = 252.00 Å³ per cell

Cell: 5.506 5.823 7.861 Å, 90.00 89.68 90.00°
Element x y z (fractional)
1 Pr 0.018 0.435 0.251
2 Pr 0.982 0.565 0.749
3 Pr 0.482 0.935 0.249
4 Pr 0.518 0.065 0.751
5 Co 0.000 0.000 0.000
6 Co 0.500 0.500 0.500
7 Ru 0.000 0.000 0.500
8 Ru 0.500 0.500 0.000
9 O 0.307 0.209 0.053
10 O 0.693 0.791 0.947
11 O 0.193 0.709 0.447
12 O 0.807 0.291 0.553
13 O 0.904 0.027 0.252
14 O 0.096 0.973 0.748
15 O 0.596 0.527 0.248
16 O 0.404 0.473 0.752
17 O 0.202 0.697 0.048
18 O 0.798 0.303 0.952
19 O 0.298 0.197 0.452
20 O 0.702 0.803 0.548


Computed, not measured: a relaxed structure of NaCr3O8 at the GGA+U level of DFT.

Properties
Total energy = -6.740 eV/atom
Density = 3.1 g/cm3
Symmetry = Pnnm
Crystal system = orthorhombic
Total moment = 3.002 μB per formula unit
ΔE_f = -1.876 eV/atom
Relative energy among the computed polymorphs = 29 meV/atom
Calculated volume = 325.09 Å³ per cell

Cell: 5.576 6.729 8.665 Å, 90.00 90.00 90.00°
Element x y z (fractional)
1 Na 0.000 0.500 0.000
2 Na 0.500 0.000 0.500
3 Cr 0.000 0.000 0.000
4 Cr 0.000 0.277 0.648
5 Cr 0.000 0.723 0.352
6 Cr 0.500 0.777 0.852
7 Cr 0.500 0.500 0.500
8 Cr 0.500 0.223 0.148
9 O 0.000 0.921 0.231
10 O 0.000 0.079 0.769
11 O 0.000 0.478 0.746
12 O 0.000 0.522 0.254
13 O 0.751 0.784 0.964
14 O 0.751 0.216 0.036
15 O 0.749 0.716 0.464
16 O 0.749 0.284 0.536
17 O 0.500 0.421 0.269
18 O 0.500 0.978 0.754
19 O 0.500 0.022 0.246
20 O 0.500 0.579 0.731
21 O 0.251 0.716 0.464
22 O 0.251 0.284 0.536
23 O 0.249 0.216 0.036
24 O 0.249 0.784 0.964